--- A ---
# MgNb2Te4Cl10O | the Materials Project database | PBE | optimized geometry
data_MgNb2Te4Cl10O
_chemical_formula_sum 'Mg1 Nb2 Te4 Cl10 O1'
_symmetry_space_group_name_H-M 'P 1'
_symmetry_Int_Tables_number 1
_cell_length_a 7.158
_cell_length_b 9.046
_cell_length_c 9.675
_cell_angle_alpha 82.81
_cell_angle_beta 90.77
_cell_angle_gamma 76.03
loop_
_symmetry_equiv_pos_as_xyz
'x,y,z'
loop_
_atom_site_label
_atom_site_type_symbol
_atom_site_fract_x
_atom_site_fract_y
_atom_site_fract_z
_atom_site_occupancy
Mg1 Mg 0.399 0.696 0.338 1
Nb1 Nb 0.542 0.616 0.649 1
Nb2 Nb 0.492 0.338 0.379 1
Te1 Te 0.105 0.966 0.184 1
Te2 Te 0.061 0.216 0.962 1
Te3 Te 0.910 0.819 0.022 1
Te4 Te 0.815 0.085 0.831 1
Cl1 Cl 0.452 0.195 0.194 1
Cl2 Cl 0.406 0.468 0.814 1
Cl3 Cl 0.803 0.198 0.441 1
Cl4 Cl 0.172 0.529 0.299 1
Cl5 Cl 0.606 0.521 0.195 1
Cl6 Cl 0.335 0.205 0.538 1
Cl7 Cl 0.863 0.473 0.702 1
Cl8 Cl 0.656 0.782 0.446 1
Cl9 Cl 0.220 0.778 0.551 1
Cl10 Cl 0.559 0.810 0.792 1
O1 O 0.512 0.495 0.497 1
# crystal system = triclinic
# V = 603 Å³/cell
# magnetization = 0.0000 μB/atom

---

--- B ---
# MgNb2Te4Cl10O | the Materials Project database | PBE | optimized geometry
data_MgNb2Te4Cl10O
_chemical_formula_sum 'Mg1 Nb2 Te4 Cl10 O1'
_symmetry_space_group_name_H-M 'P 1'
_symmetry_Int_Tables_number 1
_cell_length_a 6.723
_cell_length_b 8.931
_cell_length_c 9.802
_cell_angle_alpha 80.14
_cell_angle_beta 86.99
_cell_angle_gamma 73.61
loop_
_symmetry_equiv_pos_as_xyz
'x,y,z'
loop_
_atom_site_label
_atom_site_type_symbol
_atom_site_fract_x
_atom_site_fract_y
_atom_site_fract_z
_atom_site_occupancy
Mg1 Mg 0.220 0.055 0.421 1
Nb1 Nb 0.536 0.640 0.637 1
Nb2 Nb 0.485 0.380 0.372 1
Te1 Te 0.195 0.891 0.137 1
Te2 Te 0.087 0.186 0.974 1
Te3 Te 0.888 0.810 0.011 1
Te4 Te 0.809 0.094 0.834 1
Cl1 Cl 0.408 0.165 0.232 1
Cl2 Cl 0.355 0.505 0.801 1
Cl3 Cl 0.838 0.184 0.420 1
Cl4 Cl 0.145 0.535 0.302 1
Cl5 Cl 0.626 0.487 0.170 1
Cl6 Cl 0.343 0.209 0.561 1
Cl7 Cl 0.868 0.475 0.708 1
Cl8 Cl 0.646 0.807 0.449 1
Cl9 Cl 0.172 0.823 0.563 1
Cl10 Cl 0.547 0.822 0.794 1
O1 O 0.515 0.503 0.498 1
# crystal system = triclinic
# V = 556 Å³/cell
# magnetization = 0.0520 μB/atom

---

--- C ---
# MgNb2Te4Cl10O | the Materials Project database | PBE | optimized geometry
data_MgNb2Te4Cl10O
_chemical_formula_sum 'Mg1 Nb2 Te4 Cl10 O1'
_symmetry_space_group_name_H-M 'P 1'
_symmetry_Int_Tables_number 1
_cell_length_a 7.159
_cell_length_b 9.101
_cell_length_c 9.165
_cell_angle_alpha 81.96
_cell_angle_beta 87.04
_cell_angle_gamma 77.22
loop_
_symmetry_equiv_pos_as_xyz
'x,y,z'
loop_
_atom_site_label
_atom_site_type_symbol
_atom_site_fract_x
_atom_site_fract_y
_atom_site_fract_z
_atom_site_occupancy
Mg1 Mg 0.613 0.364 0.976 1
Nb1 Nb 0.509 0.653 0.638 1
Nb2 Nb 0.491 0.364 0.378 1
Te1 Te 0.168 0.907 0.159 1
Te2 Te 0.104 0.173 0.967 1
Te3 Te 0.876 0.817 0.032 1
Te4 Te 0.825 0.073 0.825 1
Cl1 Cl 0.477 0.196 0.160 1
Cl2 Cl 0.337 0.497 0.839 1
Cl3 Cl 0.796 0.208 0.420 1
Cl4 Cl 0.203 0.521 0.274 1
Cl5 Cl 0.664 0.506 0.166 1
Cl6 Cl 0.330 0.204 0.532 1
Cl7 Cl 0.800 0.468 0.765 1
Cl8 Cl 0.708 0.770 0.477 1
Cl9 Cl 0.210 0.791 0.569 1
Cl10 Cl 0.536 0.819 0.822 1
O1 O 0.510 0.498 0.509 1
# crystal system = triclinic
# V = 576 Å³/cell
# magnetization = 0.0078 μB/atom

---

Which is most stable, and by how much? C, by 5 meV/atom.

---

--- A ---
# MgNb2Te4Cl10O | the Materials Project database | PBE | optimized geometry
data_MgNb2Te4Cl10O
_chemical_formula_sum 'Mg1 Nb2 Te4 Cl10 O1'
_symmetry_space_group_name_H-M 'P 1'
_symmetry_Int_Tables_number 1
_cell_length_a 7.123
_cell_length_b 8.929
_cell_length_c 9.370
_cell_angle_alpha 82.72
_cell_angle_beta 89.98
_cell_angle_gamma 75.75
loop_
_symmetry_equiv_pos_as_xyz
'x,y,z'
loop_
_atom_site_label
_atom_site_type_symbol
_atom_site_fract_x
_atom_site_fract_y
_atom_site_fract_z
_atom_site_occupancy
Mg1 Mg 0.188 0.344 0.727 1
Nb1 Nb 0.504 0.660 0.620 1
Nb2 Nb 0.491 0.370 0.354 1
Te1 Te 0.219 0.906 0.140 1
Te2 Te 0.051 0.204 0.005 1
Te3 Te 0.928 0.802 0.018 1
Te4 Te 0.813 0.080 0.839 1
Cl1 Cl 0.450 0.182 0.195 1
Cl2 Cl 0.388 0.483 0.824 1
Cl3 Cl 0.789 0.197 0.431 1
Cl4 Cl 0.161 0.515 0.291 1
Cl5 Cl 0.616 0.522 0.180 1
Cl6 Cl 0.332 0.199 0.549 1
Cl7 Cl 0.855 0.474 0.720 1
Cl8 Cl 0.658 0.795 0.453 1
Cl9 Cl 0.192 0.801 0.565 1
Cl10 Cl 0.549 0.804 0.813 1
O1 O 0.503 0.497 0.505 1
# crystal system = triclinic
# V = 573 Å³/cell
# magnetization = 0.0013 μB/atom

---

--- B ---
# MgNb2Te4Cl10O | the Materials Project database | PBE | optimized geometry
data_MgNb2Te4Cl10O
_chemical_formula_sum 'Mg1 Nb2 Te4 Cl10 O1'
_symmetry_space_group_name_H-M 'P 1'
_symmetry_Int_Tables_number 1
_cell_length_a 6.931
_cell_length_b 9.104
_cell_length_c 9.813
_cell_angle_alpha 80.76
_cell_angle_beta 87.71
_cell_angle_gamma 73.53
loop_
_symmetry_equiv_pos_as_xyz
'x,y,z'
loop_
_atom_site_label
_atom_site_type_symbol
_atom_site_fract_x
_atom_site_fract_y
_atom_site_fract_z
_atom_site_occupancy
Mg1 Mg 0.893 0.733 0.657 1
Nb1 Nb 0.503 0.620 0.627 1
Nb2 Nb 0.481 0.357 0.356 1
Te1 Te 0.204 0.899 0.160 1
Te2 Te 0.089 0.183 0.990 1
Te3 Te 0.922 0.804 0.035 1
Te4 Te 0.802 0.090 0.868 1
Cl1 Cl 0.456 0.192 0.197 1
Cl2 Cl 0.360 0.504 0.824 1
Cl3 Cl 0.803 0.207 0.431 1
Cl4 Cl 0.151 0.537 0.290 1
Cl5 Cl 0.618 0.516 0.187 1
Cl6 Cl 0.324 0.225 0.530 1
Cl7 Cl 0.856 0.471 0.704 1
Cl8 Cl 0.667 0.795 0.463 1
Cl9 Cl 0.173 0.825 0.587 1
Cl10 Cl 0.600 0.810 0.797 1
O1 O 0.488 0.504 0.497 1
# crystal system = triclinic
# V = 586 Å³/cell
# magnetization = 0.0364 μB/atom

---

Which is most stable, and by how much? B, by 8 meV/atom.

---

--- A ---
# Mg2ClO3 | the Materials Project database | PBE | optimized geometry
data_Mg2ClO3
_chemical_formula_sum 'Mg8 Cl4 O12'
_symmetry_space_group_name_H-M 'P 1'
_symmetry_Int_Tables_number 1
_cell_length_a 6.513
_cell_length_b 7.472
_cell_length_c 8.586
_cell_angle_alpha 90.00
_cell_angle_beta 90.00
_cell_angle_gamma 90.00
loop_
_symmetry_equiv_pos_as_xyz
'x,y,z'
loop_
_atom_site_label
_atom_site_type_symbol
_atom_site_fract_x
_atom_site_fract_y
_atom_site_fract_z
_atom_site_occupancy
Mg1 Mg 0.000 0.500 0.500 1
Mg2 Mg 0.500 0.000 0.000 1
Mg3 Mg 0.500 0.500 0.500 1
Mg4 Mg 0.000 0.000 0.000 1
Mg5 Mg 0.750 0.277 0.750 1
Mg6 Mg 0.750 0.777 0.750 1
Mg7 Mg 0.250 0.723 0.250 1
Mg8 Mg 0.250 0.223 0.250 1
Cl1 Cl 0.250 0.244 0.559 1
Cl2 Cl 0.250 0.744 0.941 1
Cl3 Cl 0.750 0.756 0.441 1
Cl4 Cl 0.750 0.256 0.059 1
O1 O 0.750 0.336 0.511 1
O2 O 0.750 0.836 0.989 1
O3 O 0.250 0.664 0.489 1
O4 O 0.250 0.164 0.011 1
O5 O 0.872 0.028 0.773 1
O6 O 0.628 0.528 0.727 1
O7 O 0.372 0.972 0.227 1
O8 O 0.128 0.472 0.273 1
O9 O 0.128 0.972 0.227 1
O10 O 0.372 0.472 0.273 1
O11 O 0.628 0.028 0.773 1
O12 O 0.872 0.528 0.727 1
# crystal system = orthorhombic
# V = 418 Å³/cell
# magnetization = 0.1667 μB/atom

---

--- B ---
# Mg2ClO3 | the Materials Project database | PBE | optimized geometry
data_Mg2ClO3
_chemical_formula_sum 'Mg4 Cl2 O6'
_symmetry_space_group_name_H-M 'P 1'
_symmetry_Int_Tables_number 1
_cell_length_a 6.708
_cell_length_b 5.649
_cell_length_c 7.852
_cell_angle_alpha 85.49
_cell_angle_beta 76.89
_cell_angle_gamma 88.11
loop_
_symmetry_equiv_pos_as_xyz
'x,y,z'
loop_
_atom_site_label
_atom_site_type_symbol
_atom_site_fract_x
_atom_site_fract_y
_atom_site_fract_z
_atom_site_occupancy
Mg1 Mg 0.079 0.754 0.480 1
Mg2 Mg 0.921 0.246 0.520 1
Mg3 Mg 0.367 0.311 0.549 1
Mg4 Mg 0.633 0.689 0.451 1
Cl1 Cl 0.575 0.353 0.031 1
Cl2 Cl 0.425 0.647 0.969 1
O1 O 0.093 0.453 0.649 1
O2 O 0.907 0.547 0.351 1
O3 O 0.362 0.628 0.409 1
O4 O 0.638 0.372 0.591 1
O5 O 0.196 0.069 0.508 1
O6 O 0.804 0.931 0.492 1
# crystal system = triclinic
# V = 289 Å³/cell
# magnetization = 0.3332 μB/atom

---

--- C ---
# Mg2ClO3 | the Materials Project database | PBE | optimized geometry
data_Mg2ClO3
_chemical_formula_sum 'Mg4 Cl2 O6'
_symmetry_space_group_name_H-M 'P 1'
_symmetry_Int_Tables_number 1
_cell_length_a 7.856
_cell_length_b 3.972
_cell_length_c 7.327
_cell_angle_alpha 89.24
_cell_angle_beta 80.81
_cell_angle_gamma 90.03
loop_
_symmetry_equiv_pos_as_xyz
'x,y,z'
loop_
_atom_site_label
_atom_site_type_symbol
_atom_site_fract_x
_atom_site_fract_y
_atom_site_fract_z
_atom_site_occupancy
Mg1 Mg 0.121 0.748 0.568 1
Mg2 Mg 0.879 0.252 0.432 1
Mg3 Mg 0.382 0.248 0.585 1
Mg4 Mg 0.618 0.752 0.415 1
Cl1 Cl 0.541 0.406 0.127 1
Cl2 Cl 0.459 0.594 0.873 1
O1 O 0.110 0.245 0.670 1
O2 O 0.890 0.755 0.330 1
O3 O 0.377 0.750 0.568 1
O4 O 0.623 0.250 0.432 1
O5 O 0.138 0.251 0.454 1
O6 O 0.862 0.749 0.546 1
# crystal system = triclinic
# V = 226 Å³/cell
# magnetization = 0.0001 μB/atom

---

Which is most stable, and by how much? C, by 170 meV/atom.